A relaxed Rb2YTlF6 crystal, computed with PBE-GGA.

The structure in CIF format:
```
data_Rb2YTlF6
_chemical_formula_sum 'Rb8 Y4 Tl4 F24'
_space_group_name_H-M_alt 'F m -3 m'
_space_group_IT_number 225
_space_group_name_Hall '-F 4 2 3'
_cell_length_a 9.7198
_cell_length_b 9.7198
_cell_length_c 9.7198
_cell_angle_alpha 90.00
_cell_angle_beta 90.00
_cell_angle_gamma 90.00
loop_
_atom_site_label
_atom_site_type_symbol
_atom_site_fract_x
_atom_site_fract_y
_atom_site_fract_z
_atom_site_occupancy
Rb1 Rb 0.2500 0.2500 0.2500 1
Y1 Y 0.0000 0.0000 0.0000 1
Tl1 Tl 0.0000 0.0000 0.5000 1
F1 F 0.0000 0.0000 0.2250 1
```

***

A relaxed Rb3TmF6 crystal, computed with PBE-GGA.

The structure in CIF format:
```
data_Rb3TmF6
_chemical_formula_sum 'Rb6 Tm2 F12'
_space_group_name_H-M_alt 'I 4/m m m'
_space_group_IT_number 139
_space_group_name_Hall '-I 4 2'
_cell_length_a 7.1441
_cell_length_b 7.1441
_cell_length_c 9.5395
_cell_angle_alpha 90.00
_cell_angle_beta 90.00
_cell_angle_gamma 90.00
loop_
_atom_site_label
_atom_site_type_symbol
_atom_site_fract_x
_atom_site_fract_y
_atom_site_fract_z
_atom_site_occupancy
Rb1 Rb 0.0000 0.0000 0.0000 1
Rb2 Rb 0.0000 0.5000 0.2500 1
Tm1 Tm 0.0000 0.0000 0.5000 1
F1 F 0.0000 0.0000 0.2723 1
F2 F 0.0000 0.2988 0.5000 1
```

***

A relaxed Rb3TmF6 crystal, computed with PBE-GGA.

The structure in CIF format:
```
data_Rb3TmF6
_chemical_formula_sum 'Rb12 Tm4 F24'
_space_group_name_H-M_alt 'F m -3 m'
_space_group_IT_number 225
_space_group_name_Hall '-F 4 2 3'
_cell_length_a 9.6136
_cell_length_b 9.6136
_cell_length_c 9.6136
_cell_angle_alpha 90.00
_cell_angle_beta 90.00
_cell_angle_gamma 90.00
loop_
_atom_site_label
_atom_site_type_symbol
_atom_site_fract_x
_atom_site_fract_y
_atom_site_fract_z
_atom_site_occupancy
Rb1 Rb 0.0000 0.0000 0.0000 1
Rb2 Rb 0.2500 0.2500 0.2500 1
Tm1 Tm 0.0000 0.0000 0.5000 1
F1 F 0.0000 0.0000 0.2773 1
```

***

A relaxed Rb3UF6 crystal, computed with PBE-GGA.

The structure in CIF format:
```
data_Rb3UF6
_chemical_formula_sum 'Rb6 U2 F12'
_space_group_name_H-M_alt 'I 4/m m m'
_space_group_IT_number 139
_space_group_name_Hall '-I 4 2'
_cell_length_a 7.3265
_cell_length_b 7.3265
_cell_length_c 9.8119
_cell_angle_alpha 90.00
_cell_angle_beta 90.00
_cell_angle_gamma 90.00
loop_
_atom_site_label
_atom_site_type_symbol
_atom_site_fract_x
_atom_site_fract_y
_atom_site_fract_z
_atom_site_occupancy
Rb1 Rb 0.0000 0.0000 0.0000 1
Rb2 Rb 0.0000 0.5000 0.2500 1
U1 U 0.0000 0.0000 0.5000 1
F1 F 0.0000 0.0000 0.2696 1
F2 F 0.0000 0.3064 0.5000 1
```

***

A relaxed RbU3F13 crystal, computed with PBE-GGA.

The structure in CIF format:
```
data_RbU3F13
_chemical_formula_sum 'Rb2 U6 F26'
_space_group_name_H-M_alt 'P m c 21'
_space_group_IT_number 26
_space_group_name_Hall 'P 2c -2'
_cell_length_a 8.1031
_cell_length_b 7.3956
_cell_length_c 8.5251
_cell_angle_alpha 90.00
_cell_angle_beta 90.00
_cell_angle_gamma 90.00
loop_
_atom_site_label
_atom_site_type_symbol
_atom_site_fract_x
_atom_site_fract_y
_atom_site_fract_z
_atom_site_occupancy
Rb1 Rb 0.0000 0.1040 0.0000 1
U1 U 0.2472 0.3968 0.6415 1
U2 U 0.5000 0.1096 0.3035 1
F1 F 0.0000 0.2288 0.6735 1
F2 F 0.0000 0.4381 0.1500 1
F3 F 0.1968 0.4505 0.8955 1
F4 F 0.2412 0.1823 0.4453 1
F5 F 0.3063 0.1113 0.7577 1
F6 F 0.3288 0.3086 0.1648 1
F7 F 0.5000 0.0324 0.0325 1
F8 F 0.5000 0.3625 0.4804 1
F9 F 0.5000 0.3976 0.7629 1
```

***

A relaxed Rb2UF7 crystal, computed with PBE-GGA.

The structure in CIF format:
```
data_Rb2UF7
_chemical_formula_sum 'Rb8 U4 F28'
_space_group_name_H-M_alt 'P 1 21/c 1'
_space_group_IT_number 14
_space_group_name_Hall '-P 2ybc'
_cell_length_a 6.5649
_cell_length_b 13.8090
_cell_length_c 9.7303
_cell_angle_alpha 90.00
_cell_angle_beta 91.10
_cell_angle_gamma 90.00
loop_
_atom_site_label
_atom_site_type_symbol
_atom_site_fract_x
_atom_site_fract_y
_atom_site_fract_z
_atom_site_occupancy
Rb1 Rb 0.2054 0.0499 0.1382 1
Rb2 Rb 0.2203 0.7165 0.0594 1
U1 U 0.3018 0.1317 0.6851 1
F1 F 0.0445 0.2161 0.7228 1
F2 F 0.0992 0.6113 0.5160 1
F3 F 0.1353 0.0027 0.6736 1
F4 F 0.2346 0.1590 0.4774 1
F5 F 0.3989 0.1073 0.8873 1
F6 F 0.4320 0.5598 0.8725 1
F7 F 0.4799 0.2414 0.1926 1
```

***

A relaxed RbU2F9 crystal, computed with PBE-GGA.

The structure in CIF format:
```
data_RbU2F9
_chemical_formula_sum 'Rb4 U8 F36'
_space_group_name_H-M_alt 'P n m a'
_space_group_IT_number 62
_space_group_name_Hall '-P 2ac 2n'
_cell_length_a 8.7965
_cell_length_b 11.7360
_cell_length_c 7.0918
_cell_angle_alpha 90.00
_cell_angle_beta 90.00
_cell_angle_gamma 90.00
loop_
_atom_site_label
_atom_site_type_symbol
_atom_site_fract_x
_atom_site_fract_y
_atom_site_fract_z
_atom_site_occupancy
Rb1 Rb 0.0320 0.2500 0.1335 1
U1 U 0.1764 0.0508 0.6491 1
F1 F 0.0058 0.5971 0.5690 1
F2 F 0.0664 0.5771 0.1933 1
F3 F 0.1752 0.2500 0.6605 1
F4 F 0.2137 0.0925 0.9658 1
F5 F 0.2209 0.6047 0.8484 1
```

***

A relaxed RbU3F10 crystal, computed with PBE-GGA.

The structure in CIF format:
```
data_RbU3F10
_chemical_formula_sum 'Rb4 U12 F40'
_space_group_name_H-M_alt 'P 63 m c'
_space_group_IT_number 186
_space_group_name_Hall 'P 6c -2c'
_cell_length_a 8.6324
_cell_length_b 8.6324
_cell_length_c 14.0832
_cell_angle_alpha 90.00
_cell_angle_beta 90.00
_cell_angle_gamma 120.00
loop_
_atom_site_label
_atom_site_type_symbol
_atom_site_fract_x
_atom_site_fract_y
_atom_site_fract_z
_atom_site_occupancy
Rb1 Rb 0.0000 0.0000 0.0000 1
Rb2 Rb 0.3333 0.6667 0.2564 1
U1 U 0.0158 0.5079 0.5090 1
U2 U 0.1791 0.3582 0.7440 1
F1 F 0.0025 0.3386 0.8759 1
F2 F 0.0145 0.5072 0.6853 1
F3 F 0.1090 0.2181 0.2154 1
F4 F 0.1749 0.3498 0.5669 1
F5 F 0.2226 0.4452 0.0433 1
F6 F 0.3333 0.6667 0.4547 1
F7 F 0.3333 0.6667 0.8187 1
```

***

Number 1: calculated formation energy -3.33 eV/atom, volume 918.3 Å³/cell. Number 2: calculated formation energy -3.53 eV/atom, volume 486.9 Å³/cell. Number 3: calculated formation energy -3.57 eV/atom, volume 888.5 Å³/cell. Number 4: calculated formation energy -3.19 eV/atom, volume 526.7 Å³/cell. Number 5: calculated formation energy -3.88 eV/atom, volume 510.9 Å³/cell. Number 6: calculated formation energy -3.57 eV/atom, volume 881.9 Å³/cell. Number 7: calculated formation energy -3.84 eV/atom, volume 732.1 Å³/cell. Number 8: calculated formation energy -3.62 eV/atom, volume 908.9 Å³/cell.